No. 1
The following is a r²SCAN calculation of V2S2O11 after structural relaxation, from the Materials Project.

Lattice parameters (Å, degrees): 8.961 9.493 9.899 75.00 90.00 90.00
Sites, in units of the cell vectors:
O1 0.929 0.357 0.494
S1 0.926 0.288 0.104
O2 0.245 0.510 0.679
O3 0.648 0.928 0.071
O4 0.891 0.753 0.245
O5 0.552 0.216 0.991
O6 0.233 0.852 0.234
O7 0.948 0.716 0.991
O8 0.052 0.284 0.009
O9 0.825 0.169 0.091
S2 0.074 0.712 0.896
O10 0.770 0.549 0.540
O11 0.514 0.748 0.250
O12 0.755 0.490 0.321
S3 0.715 0.928 0.472
O13 0.148 0.572 0.929
S4 0.215 0.572 0.528
S5 0.785 0.428 0.472
V1 0.126 0.379 0.823
S6 0.285 0.072 0.528
O14 0.609 0.253 0.245
O15 0.352 0.072 0.929
O16 0.014 0.752 0.750
O17 0.340 0.673 0.477
O18 0.840 0.827 0.523
S7 0.426 0.212 0.896
O19 0.852 0.428 0.071
V2 0.374 0.879 0.823
O20 0.660 0.327 0.523
O21 0.429 0.143 0.506
O22 0.255 0.010 0.679
O23 0.270 0.951 0.460
V3 0.874 0.621 0.177
O24 0.071 0.643 0.506
O25 0.325 0.331 0.909
V4 0.626 0.121 0.177
O26 0.733 0.648 0.766
O27 0.539 0.979 0.759
V5 0.870 0.643 0.668
O28 0.730 0.049 0.540
O29 0.230 0.451 0.460
O30 0.267 0.352 0.234
O31 0.175 0.831 0.909
O32 0.160 0.173 0.477
V6 0.370 0.857 0.332
O33 0.391 0.747 0.755
O34 0.448 0.784 0.009
O35 0.675 0.669 0.091
O36 0.767 0.148 0.766
O37 0.986 0.248 0.250
V7 0.630 0.143 0.668
V8 0.130 0.357 0.332
O38 0.486 0.252 0.750
O39 0.461 0.021 0.241
O40 0.745 0.990 0.321
O41 0.571 0.857 0.494
O42 0.961 0.479 0.759
O43 0.109 0.247 0.755
O44 0.039 0.521 0.241
S8 0.574 0.788 0.104

Computed properties:
SG = P2_1/c (14)

No. 2
The following is a r²SCAN calculation of WS2O9 after structural relaxation, from the Materials Project.

Lattice parameters (Å, degrees): 11.884 7.508 9.079 55.86 90.00 90.00
Sites, in units of the cell vectors:
S1 0.474 0.311 0.364
O1 0.196 0.595 0.420
O2 0.938 0.477 0.209
O3 0.519 0.751 0.772
S2 0.825 0.957 0.592
O4 0.804 0.405 0.580
S3 0.026 0.311 0.864
O5 0.716 0.115 0.906
O6 0.340 0.252 0.866
S4 0.526 0.689 0.636
O7 0.072 0.936 0.389
O8 0.593 0.852 0.485
W1 0.852 0.169 0.755
O9 0.840 0.748 0.634
O10 0.981 0.751 0.272
O11 0.928 0.064 0.611
S5 0.325 0.043 0.908
O12 0.907 0.852 0.985
W2 0.148 0.831 0.245
S6 0.675 0.957 0.092
O13 0.249 0.025 0.783
O14 0.062 0.523 0.791
O15 0.749 0.975 0.717
O16 0.401 0.731 0.585
O17 0.572 0.064 0.111
S7 0.974 0.689 0.136
O18 0.438 0.523 0.291
O19 0.407 0.148 0.515
O20 0.751 0.975 0.217
O21 0.901 0.269 0.915
W3 0.352 0.831 0.745
O22 0.019 0.249 0.728
O23 0.160 0.252 0.366
O24 0.599 0.269 0.415
O25 0.562 0.477 0.709
O26 0.216 0.885 0.594
O27 0.481 0.249 0.228
O28 0.696 0.405 0.080
O29 0.428 0.936 0.889
W4 0.648 0.169 0.255
O30 0.784 0.115 0.406
S8 0.175 0.043 0.408
O31 0.251 0.025 0.283
O32 0.284 0.885 0.094
O33 0.304 0.595 0.920
O34 0.660 0.748 0.134
O35 0.093 0.148 0.015
O36 0.099 0.731 0.085

Computed properties:
SG = P2_1/c (14)

No. 3
The following is a r²SCAN calculation of Y2S2O after structural relaxation, from the Materials Project.

Lattice parameters (Å, degrees): 6.890 6.865 8.275 80.48 90.00 90.00
Sites, in units of the cell vectors:
Y1 0.356 0.822 0.424
S1 0.777 0.530 0.924
S2 0.723 0.030 0.924
S3 0.367 0.424 0.681
Y2 0.856 0.678 0.576
S4 0.133 0.924 0.681
Y3 0.644 0.178 0.576
Y4 0.554 0.250 0.138
O1 0.087 0.650 0.383
S5 0.277 0.970 0.076
Y5 0.446 0.750 0.862
S6 0.633 0.576 0.319
S7 0.867 0.076 0.319
Y6 0.144 0.322 0.424
Y7 0.946 0.750 0.138
O2 0.587 0.850 0.617
S8 0.223 0.470 0.076
Y8 0.054 0.250 0.862
O3 0.913 0.350 0.617
O4 0.413 0.150 0.383

Computed properties:
SG = P2_1/c (14)

No. 4
The following is a r²SCAN calculation of Yb2SO2 after structural relaxation, from the Materials Project.

Lattice parameters (Å, degrees): 3.696 3.696 6.469 90.00 90.00 120.00
Sites, in units of the cell vectors:
S1 0.000 0.000 0.000
Yb1 0.333 0.667 0.284
O1 0.333 0.667 0.629
O2 0.667 0.333 0.371
Yb2 0.667 0.333 0.716

Computed properties:
SG = P-3m1 (164)

Computed total magnetic moment (μB/f.u.) in order:
0.0 0.0 0.0 0.0
Computed E (eV/atom) in order:
-9.174 -11.658 -15.483 -22.218